## one
This record from the Materials Project database describes a geometry-optimized Na3NiF6 structure. The functional is r2SCAN.

Lattice parameters (Å, degrees): 5.3600 5.7020 9.2638 90.00 124.15 90.00
With the nearest neighbours (Å) after each atom.
Space group P2_1/c (No. 14)
Unique sites:
Na  0.0000  0.0000  0.0000 [2 per cell]  6 F 2.19-2.26
Na  0.2204  0.0637  0.7439 [4 per cell]  5 F 2.25-2.41
Ni  0.5000  0.0000  0.5000 [2 per cell]  6 F 1.82-1.98
F  0.1794  0.1737  0.4560 [4 per cell]  1 Ni 1.82
F  0.2417  0.7167  0.4210 [4 per cell]  1 Ni 1.98, 1 Na 2.19
F  0.3968  0.0557  0.2789 [4 per cell]  1 Ni 1.83

## two
This record from the Materials Project database describes a geometry-optimized Na3NiF6 structure. The functional is r2SCAN.

Lattice parameters (Å, degrees): 7.9336 7.9336 7.9336 90.00 90.00 90.00
With the nearest neighbours (Å) after each atom.
Space group Fm-3m (No. 225)
Unique sites:
Na  0.0000  0.0000  0.0000 [4 per cell]  6 F 2.11
Na  0.2500  0.2500  0.2500 [8 per cell]  12 F 2.81
Ni  0.0000  0.0000  0.5000 [4 per cell]  6 F 1.85
F  0.0000  0.0000  0.2665 [24 per cell]  1 Ni 1.85

Which structure is the least stable? The one labeled two.

## one
This record from the Materials Project database describes a geometry-optimized V2O3F structure. The functional is r2SCAN.

Lattice parameters (Å, degrees): 14.7964 6.3033 6.6790 90.00 90.00 90.00
With the nearest neighbours (Å) after each atom.
Space group Amm2 (No. 38)
Unique sites:
V  0.0000  0.0000  0.0000 [2 per cell]  4 O 1.88-1.89, 2 F 2.09
V  0.0994  0.0000  0.5396 [4 per cell]  5 O 1.89-1.95
V  0.1981  0.0000  0.0025 [4 per cell]  4 O 1.89-1.91, 2 F 2.07-2.09
V  0.2985  0.0000  0.5533 [4 per cell]  5 O 1.80-1.96
V  0.3988  0.0000  0.0173 [4 per cell]  4 O 1.91-1.99, 2 F 2.00
V  0.5000  0.0000  0.4752 [2 per cell]  5 O 1.75-1.95
O  0.0000  0.2026  0.5256 [4 per cell]  3 V 1.88-1.95
O  0.0995  0.0000  0.8227 [4 per cell]  3 V 1.89
O  0.1995  0.2010  0.5233 [8 per cell]  3 V 1.89-1.95
O  0.2986  0.0000  0.8234 [4 per cell]  3 V 1.80-1.97
O  0.4000  0.1972  0.5185 [8 per cell]  3 V 1.91-1.96
O  0.5000  0.0000  0.2125 [2 per cell]  1 V 1.75
F  0.0993  0.0000  0.2217 [4 per cell]  3 V 2.07-2.12
F  0.2997  0.0000  0.2199 [4 per cell]  3 V 2.00-2.23
F  0.5000  0.0000  0.8176 [2 per cell]  2 V 2.00

## two
This record from the Materials Project database describes a geometry-optimized V2O3F structure. The functional is r2SCAN.

Lattice parameters (Å, degrees): 14.8623 6.2709 6.7587 90.00 90.00 90.00
With the nearest neighbours (Å) after each atom.
Space group Amm2 (No. 38)
Unique sites:
V  0.0000  0.0000  0.0000 [2 per cell]  5 O 1.75-1.95
V  0.1002  0.0000  0.4531 [4 per cell]  4 O 1.91-1.98, 2 F 2.00
V  0.1999  0.0000  0.9057 [4 per cell]  5 O 1.75-1.95
V  0.3009  0.0000  0.4528 [4 per cell]  4 O 1.91-1.99, 2 F 1.99-2.01
V  0.4003  0.0000  0.9934 [4 per cell]  5 O 1.78-1.96
V  0.5000  0.0000  0.4410 [2 per cell]  4 O 1.90-1.93, 2 F 2.07
O  0.0000  0.0000  0.2592 [2 per cell]  1 V 1.75
O  0.0999  0.1955  0.9530 [8 per cell]  3 V 1.91-1.95
O  0.2002  0.0000  0.6462 [4 per cell]  1 V 1.75
O  0.2995  0.1960  0.9514 [8 per cell]  3 V 1.91-1.96
O  0.4009  0.0000  0.2572 [4 per cell]  3 V 1.78-1.99
O  0.5000  0.1967  0.9548 [4 per cell]  3 V 1.90-1.95
F  0.0000  0.0000  0.6515 [2 per cell]  2 V 2.00
F  0.2004  0.0000  0.2545 [4 per cell]  2 V 2.00-2.01
F  0.3995  0.0000  0.6522 [4 per cell]  2 V 1.99-2.07

Which structure is the least stable? The one labeled two.